{"formula": "Sm2Ga9Ru5", "functional": "meta-GGA r2SCAN", "state": "optimized geometry", "delta_e_f_ev_per_atom": -0.5647, "volume_a3_per_cell": 256.7, "lattice": [[0.0000, 6.7597, 4.3572], [4.3573, 0.0000, 4.3572], [4.3573, 6.7597, 0.0000]], "species": ["Sm", "Sm", "Ga", "Ga", "Ga", "Ga", "Ga", "Ga", "Ga", "Ga", "Ga", "Ru", "Ru", "Ru", "Ru", "Ru"], "fractional_positions": [[0.2497, 0.7503, 0.7503], [0.7503, 0.2497, 0.2497], [0.1090, 0.3909, 0.1925], [0.1091, 0.8072, 0.1928], [0.2508, 0.2508, 0.7492], [0.3909, 0.1090, 0.3077], [0.3910, 0.6921, 0.3079], [0.6921, 0.3910, 0.6090], [0.6923, 0.8075, 0.6091], [0.8072, 0.1091, 0.8909], [0.8075, 0.6923, 0.8910], [0.0000, 0.0000, 0.5000], [0.0712, 0.4283, 0.5717], [0.4283, 0.0712, 0.9288], [0.5000, 0.5000, 0.0000], [0.7499, 0.7499, 0.2501]]}